(1)
WS2: relaxed, meta-GGA r2SCAN.

a = 6.745 Å, b = 6.745 Å, c = 6.745 Å
α = 27.31°, β = 27.31°, γ = 27.31°
Positions (direct):
1 W 0.001 0.001 0.001
2 S 0.414 0.414 0.414
3 S 0.254 0.254 0.254

Calculated values
Its crystal system is trigonal. For the total moment, the calculation gives 0.0 Bohr magnetons per cell. The formation energy comes out at -85.2 kJ per mole of atoms.

---

(2)
WS2: relaxed, meta-GGA r2SCAN.

a = 3.184 Å, b = 3.184 Å, c = 12.978 Å
α = 90.00°, β = 90.00°, γ = 60.00°
Positions (direct):
1 W 0.667 0.667 0.750
2 W 0.333 0.333 0.250
3 S 0.667 0.667 0.130
4 S 0.333 0.333 0.630
5 S 0.667 0.667 0.370
6 S 0.333 0.333 0.870

Calculated values
Its crystal system is hexagonal. For the total moment, the calculation gives 0.0 Bohr magnetons per cell. The formation energy comes out at -85.3 kJ per mole of atoms.

---

(3)
Y5S7: relaxed, meta-GGA r2SCAN.

a = 3.810 Å, b = 6.700 Å, c = 11.604 Å
α = 104.07°, β = 90.00°, γ = 106.52°
Positions (direct):
1 Y 0.888 0.777 0.578
2 Y 0.112 0.223 0.422
3 Y 0.699 0.399 0.812
4 Y 0.301 0.601 0.188
5 Y 0.000 0.000 0.000
6 S 0.741 0.481 0.353
7 S 0.259 0.519 0.647
8 S 0.041 0.083 0.785
9 S 0.959 0.917 0.215
10 S 0.341 0.682 0.949
11 S 0.500 0.000 0.500
12 S 0.659 0.318 0.051

Calculated values
Its crystal system is monoclinic. For the total moment, the calculation gives 0.0 Bohr magnetons per cell. The formation energy comes out at -229.5 kJ per mole of atoms.

---

(4)
Y2S3: relaxed, meta-GGA r2SCAN.

a = 4.034 Å, b = 10.205 Å, c = 17.631 Å
α = 98.66°, β = 90.00°, γ = 90.00°
Positions (direct):
1 Y 0.250 0.189 0.020
2 Y 0.750 0.811 0.980
3 Y 0.250 0.124 0.430
4 Y 0.750 0.876 0.570
5 Y 0.250 0.830 0.781
6 Y 0.750 0.170 0.219
7 Y 0.250 0.187 0.721
8 Y 0.750 0.813 0.279
9 Y 0.250 0.487 0.399
10 Y 0.750 0.513 0.601
11 Y 0.250 0.549 0.115
12 Y 0.750 0.451 0.885
13 S 0.250 0.052 0.575
14 S 0.750 0.948 0.425
15 S 0.250 0.269 0.873
16 S 0.750 0.731 0.127
17 S 0.250 0.616 0.967
18 S 0.750 0.384 0.033
19 S 0.250 0.638 0.282
20 S 0.750 0.362 0.718
21 S 0.250 0.007 0.268
22 S 0.750 0.993 0.732
23 S 0.250 0.711 0.631
24 S 0.750 0.289 0.369
25 S 0.250 0.951 0.924
26 S 0.750 0.049 0.076
27 S 0.250 0.319 0.182
28 S 0.750 0.681 0.818
29 S 0.250 0.368 0.531
30 S 0.750 0.632 0.469

Calculated values
Its crystal system is monoclinic. For the total moment, the calculation gives 0.0 Bohr magnetons per cell. The formation energy comes out at -229.9 kJ per mole of atoms.